1.
DFT (PBE) results for an optimized crystal structure of Na7La2Si3Sn2P3O24.

Results
Mass density (Mg/m³): 3.5
Total magnetic moment (μB per formula unit): 0.0
Uncorrected energy (eV/atom): -6.737
Energy with MP2020 corrections (eV per cell): -878.15
Formation energy (eV per atom): -2.79

Cell: 9.3925 9.4014 23.0466 Å, 89.68 89.76 60.15°
With the nearest neighbours (Å) after each atom.
Space group P1 (No. 1)
Symmetry-distinct sites (fractional):
Na 0.0000 0.0000 0.0000  6 O 2.49-2.78
Na 0.9996 0.3646 0.7550  6 O 2.51-2.57
Na 0.0166 0.3597 0.2605  6 O 2.49-2.66
Na 0.0377 0.6690 0.1768  5 O 2.45-2.66
Na 0.2933 0.0286 0.1794  5 O 2.48-2.68
Na 0.3088 0.3925 0.6761  5 O 2.52-2.72
Na 0.3338 0.6980 0.0881  6 O 2.62-2.76
Na 0.3357 0.7080 0.5943  6 O 2.59-2.84
Na 0.3427 0.0581 0.8358  4 O 2.44-2.71
Na 0.3758 0.3680 0.9976  5 O 2.44-2.66
Na 0.3822 0.9840 0.5054  6 O 2.53-2.70
Na 0.6282 0.7280 0.9997  5 O 2.50-2.66
Na 0.6296 0.3688 0.5102  4 O 2.44-2.72
Na 0.6588 0.0294 0.4173  4 O 2.48-2.65
Na 0.6601 0.6686 0.6725  4 O 2.45-2.73
Na 0.6689 0.3964 0.1756  6 O 2.54-2.80
Na 0.6735 0.0254 0.9153  6 O 2.54-2.70
Na 0.6896 0.7060 0.3426  2 O 2.37-2.44
Na 0.6936 0.3346 0.8352  5 O 2.49-2.73
Na 0.9799 0.0535 0.3367  3 O 2.45-2.68
Na 0.9950 0.7362 0.5017  4 O 2.44-2.67
La 0.3262 0.7012 0.2506  6 O 2.26-2.46
La 0.3364 0.6977 0.4351  6 O 2.29-2.49
La 0.3377 0.6953 0.9240  6 O 2.28-2.48
La 0.6680 0.0271 0.5786  6 O 2.29-2.51
La 0.6706 0.0349 0.0692  5 O 2.23-2.46
La 0.9968 0.3628 0.1061  5 O 2.22-2.46
Si 0.0111 0.6998 0.3379  4 O 1.61-1.67
Si 0.3329 0.0227 0.3388  4 O 1.63-1.65
Si 0.3371 0.3861 0.8363  4 O 1.62-1.67
Si 0.3572 0.0286 0.6731  4 O 1.64-1.67
Si 0.6447 0.7018 0.8356  4 O 1.63-1.67
Si 0.6628 0.3398 0.6732  4 O 1.63-1.67
Si 0.7029 0.3679 0.9996  4 O 1.63-1.67
Si 0.7174 0.6468 0.5073  4 O 1.65-1.66
Si 0.9679 0.0281 0.1746  4 O 1.63-1.66
Sn 0.0034 0.3691 0.4042  6 O 2.01-2.14
Sn 0.3341 0.6963 0.7418  6 O 2.06-2.16
Sn 0.6662 0.0334 0.2736  6 O 2.01-2.14
Sn 0.6657 0.0330 0.7671  6 O 2.04-2.17
Sn 0.9967 0.3592 0.6116  6 O 2.02-2.25
Sn 0.9982 0.3722 0.8985  6 O 2.02-2.26
P 0.0013 0.0843 0.5052  4 O 1.55
P 0.0017 0.6587 0.0015  4 O 1.53-1.57
P 0.0252 0.0044 0.8367  4 O 1.53-1.58
P 0.2796 0.3651 0.5085  4 O 1.54-1.56
P 0.2942 0.0697 0.9990  4 O 1.54-1.58
P 0.3736 0.3281 0.1742  4 O 1.54-1.57
P 0.6565 0.3765 0.3392  4 O 1.52-1.57
P 0.6660 0.7357 0.1750  4 O 1.53-1.58
P 0.9758 0.7260 0.6733  4 O 1.54-1.58
O 0.0137 0.1783 0.8374  1 P 1.58
O 0.0168 0.5757 0.0604  1 P 1.53
O 0.0196 0.1704 0.5596  1 P 1.55
O 0.0759 0.9234 0.8967  1 P 1.53
O 0.0956 0.7381 0.3934  1 Si 1.64
O 0.1130 0.6691 0.2784  1 Si 1.61
O 0.1500 0.7005 0.6851  1 P 1.56
O 0.1510 0.6843 0.9969  1 P 1.54
O 0.1508 0.8646 0.1761  1 Si 1.64
O 0.1557 0.9108 0.5046  1 P 1.55
O 0.1583 0.9028 0.7905  1 P 1.55
O 0.1621 0.1977 0.3485  1 Si 1.64
O 0.1761 0.3559 0.8408  1 Si 1.67
O 0.1806 0.2068 0.6681  1 Si 1.67
O 0.1824 0.3778 0.5653  1 P 1.56
O 0.1933 0.3480 0.4543  1 P 1.54
O 0.1951 0.1800 0.9456  1 P 1.58
O 0.2011 0.3447 0.1791  1 P 1.55
O 0.2088 0.1477 0.0569  1 P 1.54
O 0.2898 0.9493 0.2818  1 Si 1.63
O 0.2922 0.5229 0.5061  1 P 1.55
O 0.3056 0.9006 0.9975  1 P 1.54
O 0.3066 0.5155 0.7827  1 Si 1.65
O 0.3408 0.8642 0.6857  1 Si 1.65
O 0.3634 0.4960 0.1781  1 P 1.54
O 0.3781 0.4455 0.8965  1 Si 1.62
O 0.3799 0.8956 0.3944  1 Si 1.65
O 0.4534 0.2107 0.5085  1 P 1.55
O 0.4531 0.2565 0.1152  1 P 1.54
O 0.4548 0.0667 0.7252  1 Si 1.66
O 0.4655 0.9811 0.6133  1 Si 1.64
O 0.4659 0.0537 0.9958  1 P 1.54
O 0.4779 0.2108 0.2247  1 P 1.57
O 0.4951 0.5236 0.6821  1 Si 1.67
O 0.5003 0.0354 0.3308  1 Si 1.65
O 0.5039 0.2035 0.8263  1 Si 1.67
O 0.5176 0.7089 0.1788  1 P 1.54
O 0.5203 0.5323 0.9978  1 Si 1.64
O 0.5348 0.6623 0.5080  1 Si 1.65
O 0.5416 0.6648 0.7846  1 Si 1.67
O 0.5416 0.7495 0.8960  1 Si 1.63
O 0.5504 0.4547 0.3938  1 P 1.54
O 0.5866 0.4828 0.2855  1 P 1.52
O 0.6245 0.2747 0.6131  1 Si 1.63
O 0.6503 0.8244 0.1174  1 P 1.53
O 0.6609 0.8654 0.8221  1 Si 1.65
O 0.6698 0.8390 0.2280  1 P 1.58
O 0.6791 0.2008 0.3331  1 P 1.56
O 0.6909 0.1999 0.9955  1 Si 1.64
O 0.6907 0.2148 0.7276  1 Si 1.64
O 0.7024 0.8291 0.5053  1 Si 1.65
O 0.7775 0.3845 0.0615  1 Si 1.63
O 0.8101 0.5413 0.5667  1 Si 1.66
O 0.8213 0.5243 0.8391  1 Si 1.67
O 0.8209 0.5534 0.4485  1 Si 1.65
O 0.8243 0.3687 0.6705  1 Si 1.67
O 0.8251 0.3511 0.9440  1 Si 1.67
O 0.8269 0.8676 0.3335  1 Si 1.67
O 0.8290 0.5696 0.1790  1 P 1.55
O 0.8329 0.3531 0.3469  1 P 1.57
O 0.8384 0.8254 0.9971  1 P 1.56
O 0.8434 0.0713 0.5068  1 P 1.55
O 0.8448 0.8239 0.7198  1 P 1.54
O 0.8468 0.0427 0.2298  1 Si 1.66
O 0.8506 0.0312 0.8237  1 P 1.56
O 0.8913 0.0126 0.1132  1 Si 1.63
O 0.9213 0.8115 0.6133  1 P 1.55
O 0.9798 0.5429 0.3457  1 Si 1.65
O 0.9808 0.1953 0.1797  1 Si 1.64
O 0.9901 0.1802 0.4488  1 P 1.55
O 0.9906 0.5509 0.6714  1 P 1.58
O 0.9963 0.5512 0.9507  1 P 1.57

=====

2.
DFT (PBE) results for an optimized crystal structure of CaTe.

Results
Mass density (Mg/m³): 4.2
Uncorrected energy (eV/atom): -4.188
Energy with MP2020 corrections (eV per cell): -17.60
Formation energy (eV per atom): -1.82

Cell: 4.4594 4.4594 7.6607 Å, 90.00 90.00 120.00°
With the nearest neighbours (Å) after each atom.
Space group P6_3/mmc (No. 194)
Symmetry-distinct sites (fractional):
Ca 0.0000 0.0000 0.0000  6 Te 3.21
Te 0.3333 0.6667 0.2500  6 Ca 3.21

=====

3.
DFT (PBE) results for an optimized crystal structure of Li2Cu2F5.

Results
Mass density (Mg/m³): 3.7
Total magnetic moment (μB per formula unit): 1.0
Uncorrected energy (eV/atom): -4.376
Energy relative to the lowest polymorph listed for this composition (meV per atom): 33
Energy with MP2020 corrections (eV per cell): -166.76
Formation energy (eV per atom): -2.23

Cell: 7.7934 7.9428 7.2536 Å, 90.00 108.11 90.00°
With the nearest neighbours (Å) after each atom.
Space group C2/c (No. 15)
Symmetry-distinct sites (fractional):
Li 0.0108 0.2356 0.0207  4 F 1.88-1.97
Cu 0.2057 0.4963 0.8792  5 F 2.00-2.19
F 0.0000 0.0000 0.0000  2 Li 1.88
F 0.0000 0.3398 0.2500  2 Li 1.88, 2 Cu 2.05
F 0.1792 0.3942 0.6203  1 Li 1.97, 2 Cu 2.00-2.02
F 0.2500 0.2500 0.0000  2 Li 1.92, 2 Cu 2.13

=====

4.
DFT (PBE) results for an optimized crystal structure of CeSe2.

Results
Mass density (Mg/m³): 2.6
Total magnetic moment (μB per formula unit): 0.0
Uncorrected energy (eV/atom): -5.293
Energy with MP2020 corrections (eV per cell): -67.29
Formation energy (eV per atom): -1.30

Cell: 7.3433 7.3925 15.3381 Å, 90.00 113.01 90.00°
With the nearest neighbours (Å) after each atom.
Space group P2/c (No. 13)
Symmetry-distinct sites (fractional):
Ce 0.2080 0.2408 0.4376  4 Se 2.66-2.75
Se 0.0000 0.0000 0.0000  2 Ce 2.75
Se 0.0000 0.2971 0.2500  2 Ce 2.71
Se 0.5000 0.0000 0.0000  2 Ce 2.66
Se 0.5000 0.5000 0.0000  2 Ce 2.75